DFT (PBE+U) results for a relaxed LiCrPO4 crystal.

Density   3.2 Mg/m³
Formation enthalpy at 0 K   -2.566 eV per atom
ΔE to the lowest computed polymorph   0.00 eV/f.u.

```
data_LiCrPO4
_chemical_formula_sum 'Li4 Cr4 P4 O16'
_cell_length_a 4.8028
_cell_length_b 10.3020
_cell_length_c 6.3632
_cell_angle_alpha 90.00
_cell_angle_beta 90.28
_cell_angle_gamma 90.00
_symmetry_space_group_name_H-M 'P 1 21 1'
_symmetry_Int_Tables_number 4
loop_
_symmetry_equiv_pos_as_xyz
'x,y,z'
'-x,y+1/2,-z'
loop_
_atom_site_label
_atom_site_type_symbol
_atom_site_fract_x
_atom_site_fract_y
_atom_site_fract_z
_atom_site_occupancy
Li1 Li 0.2122 0.0000 0.2242 1
Li2 Li 0.2763 0.9739 0.7179 1
Cr1 Cr 0.1956 0.2688 0.0045 1
Cr2 Cr 0.2972 0.7027 0.4924 1
P1 P 0.1565 0.3923 0.5181 1
P2 P 0.3538 0.5766 0.0172 1
O1 O 0.0099 0.3170 0.3337 1
O2 O 0.0281 0.3383 0.7250 1
O3 O 0.0339 0.5921 0.0058 1
O4 O 0.0546 0.5360 0.5031 1
O5 O 0.4493 0.4317 0.0195 1
O6 O 0.4768 0.3804 0.5093 1
O7 O 0.4845 0.6365 0.2206 1
O8 O 0.5004 0.1441 0.1733 1
```



DFT (PBE+U) results for a relaxed LiCrP2O7 crystal.

Density   3.1 Mg/m³
Formation enthalpy at 0 K   -2.572 eV per atom
ΔE to the lowest computed polymorph   1.13 eV/f.u.

```
data_LiCrP2O7
_chemical_formula_sum 'Li4 Cr4 P8 O28'
_cell_length_a 6.2742
_cell_length_b 6.2754
_cell_length_c 13.6372
_cell_angle_alpha 99.47
_cell_angle_beta 102.91
_cell_angle_gamma 98.87
_symmetry_space_group_name_H-M 'P 1'
_symmetry_Int_Tables_number 1
loop_
_symmetry_equiv_pos_as_xyz
'x,y,z'
loop_
_atom_site_label
_atom_site_type_symbol
_atom_site_fract_x
_atom_site_fract_y
_atom_site_fract_z
_atom_site_occupancy
Li1 Li 0.0000 0.0000 0.0000 1
Li2 Li 0.2155 0.4248 0.6731 1
Li3 Li 0.4856 0.9838 0.4997 1
Li4 Li 0.7343 0.4450 0.1767 1
Cr1 Cr 0.3818 0.0668 0.1965 1
Cr2 Cr 0.6043 0.6272 0.9774 1
Cr3 Cr 0.6117 0.7997 0.6972 1
Cr4 Cr 0.8364 0.3559 0.4782 1
P1 P 0.0492 0.4749 0.9282 1
P2 P 0.1681 0.9519 0.7468 1
P3 P 0.2804 0.5606 0.2466 1
P4 P 0.3706 0.4796 0.4708 1
P5 P 0.4738 0.0864 0.9703 1
P6 P 0.7437 0.3407 0.7043 1
P7 P 0.8466 0.9433 0.2041 1
P8 P 0.9384 0.8617 0.4281 1
O1 O 0.0425 0.5030 0.1903 1
O2 O 0.0501 0.2943 0.9852 1
O3 O 0.0512 0.0275 0.1679 1
O4 O 0.1657 0.3920 0.5060 1
O5 O 0.1702 0.1323 0.6896 1
O6 O 0.1769 0.9186 0.4834 1
O7 O 0.2814 0.5864 0.9205 1
O8 O 0.2887 0.5559 0.3674 1
O9 O 0.2937 0.0665 0.8672 1
O10 O 0.3013 0.7717 0.7174 1
O11 O 0.3465 0.0129 0.0478 1
O12 O 0.3980 0.8003 0.2530 1
O13 O 0.4299 0.3970 0.2168 1
O14 O 0.5040 0.2952 0.4511 1
O15 O 0.5196 0.6846 0.5485 1
O16 O 0.5798 0.4943 0.7245 1
O17 O 0.5962 0.3263 0.0061 1
O18 O 0.6209 0.1007 0.6677 1
O19 O 0.6378 0.9328 0.9499 1
O20 O 0.6938 0.7403 0.1262 1
O21 O 0.7154 0.1289 0.2253 1
O22 O 0.7901 0.0261 0.4584 1
O23 O 0.8202 0.6228 0.4225 1
O24 O 0.8724 0.4139 0.6271 1
O25 O 0.9154 0.6541 0.9582 1
O26 O 0.9220 0.3596 0.8079 1
O27 O 0.9277 0.8634 0.3067 1
O28 O 0.9347 0.8425 0.7539 1
```



DFT (PBE+U) results for a relaxed Li3CrP2O8 crystal.

Density   2.6 Mg/m³
Formation enthalpy at 0 K   -2.614 eV per atom
ΔE to the lowest computed polymorph   0.77 eV/f.u.

```
data_Li3CrP2O8
_chemical_formula_sum 'Li12 Cr4 P8 O32'
_cell_length_a 8.1161
_cell_length_b 8.4661
_cell_length_c 10.3120
_cell_angle_alpha 89.75
_cell_angle_beta 89.97
_cell_angle_gamma 72.45
_symmetry_space_group_name_H-M 'P 1'
_symmetry_Int_Tables_number 1
loop_
_symmetry_equiv_pos_as_xyz
'x,y,z'
loop_
_atom_site_label
_atom_site_type_symbol
_atom_site_fract_x
_atom_site_fract_y
_atom_site_fract_z
_atom_site_occupancy
Li1 Li 0.0000 0.0000 0.0000 1
Li2 Li 0.0107 0.5169 0.1934 1
Li3 Li 0.1992 0.8075 0.6798 1
Li4 Li 0.5396 0.0217 0.1881 1
Li5 Li 0.7038 0.3440 0.6849 1
Li6 Li 0.7225 0.8424 0.4904 1
Li7 Li 0.7417 0.2818 0.1742 1
Li8 Li 0.7536 0.7720 0.0055 1
Li9 Li 0.8220 0.4451 0.9118 1
Li10 Li 0.8827 0.8955 0.7583 1
Li11 Li 0.8996 0.4057 0.4258 1
Li12 Li 0.9739 0.0772 0.5031 1
Cr1 Cr 0.2345 0.2977 0.9838 1
Cr2 Cr 0.2356 0.8073 0.1945 1
Cr3 Cr 0.4733 0.0522 0.6886 1
Cr4 Cr 0.4832 0.5521 0.4864 1
P1 P 0.0727 0.6996 0.4348 1
P2 P 0.0748 0.1863 0.7623 1
P3 P 0.1410 0.6240 0.9300 1
P4 P 0.1460 0.1298 0.2507 1
P5 P 0.5707 0.2301 0.4277 1
P6 P 0.5802 0.7283 0.7493 1
P7 P 0.6343 0.6504 0.2552 1
P8 P 0.6430 0.1505 0.9264 1
O1 O 0.0055 0.5609 0.4772 1
O2 O 0.0160 0.5315 0.9923 1
O3 O 0.0357 0.0313 0.1818 1
O4 O 0.0372 0.0392 0.6928 1
O5 O 0.0726 0.1961 0.3810 1
O6 O 0.0790 0.7035 0.8002 1
O7 O 0.1050 0.1495 0.9135 1
O8 O 0.1085 0.6788 0.2832 1
O9 O 0.1555 0.7630 0.0235 1
O10 O 0.1627 0.2752 0.1637 1
O11 O 0.2477 0.2139 0.7165 1
O12 O 0.2482 0.7041 0.5021 1
O13 O 0.3145 0.4797 0.9258 1
O14 O 0.3256 0.9901 0.2577 1
O15 O 0.3975 0.3741 0.4329 1
O16 O 0.3967 0.8627 0.7542 1
O17 O 0.4565 0.6287 0.2178 1
O18 O 0.4749 0.1382 0.9964 1
O19 O 0.5560 0.0835 0.5137 1
O20 O 0.5679 0.5846 0.6612 1
O21 O 0.6013 0.1877 0.7773 1
O22 O 0.6186 0.6876 0.4065 1
O23 O 0.6257 0.1693 0.2917 1
O24 O 0.6533 0.6619 0.8799 1
O25 O 0.6757 0.7905 0.1814 1
O26 O 0.6830 0.8383 0.6827 1
O27 O 0.7006 0.3145 0.4920 1
O28 O 0.7130 0.2819 0.9858 1
O29 O 0.7801 0.4846 0.2371 1
O30 O 0.7799 0.9770 0.9362 1
O31 O 0.9239 0.3441 0.7459 1
O32 O 0.9459 0.8713 0.4643 1
```



DFT (PBE+U) results for a relaxed Li3Cr4P5O24 crystal.

Density   2.9 Mg/m³
Formation enthalpy at 0 K   -2.266 eV per atom

```
data_Li3Cr4P5O24
_chemical_formula_sum 'Li6 Cr8 P10 O48'
_cell_length_a 8.2731
_cell_length_b 9.1760
_cell_length_c 13.7674
_cell_angle_alpha 77.69
_cell_angle_beta 72.53
_cell_angle_gamma 63.22
_symmetry_space_group_name_H-M 'P 1'
_symmetry_Int_Tables_number 1
loop_
_symmetry_equiv_pos_as_xyz
'x,y,z'
loop_
_atom_site_label
_atom_site_type_symbol
_atom_site_fract_x
_atom_site_fract_y
_atom_site_fract_z
_atom_site_occupancy
Li1 Li 0.0000 0.0000 0.0000 1
Li2 Li 0.0326 0.5037 0.5011 1
Li3 Li 0.3783 0.4634 0.6969 1
Li4 Li 0.4965 0.9687 0.1967 1
Li5 Li 0.6147 0.9514 0.7268 1
Li6 Li 0.7425 0.4513 0.2207 1
Cr1 Cr 0.0436 0.9440 0.6365 1
Cr2 Cr 0.0824 0.9695 0.2770 1
Cr3 Cr 0.2675 0.1729 0.9331 1
Cr4 Cr 0.4088 0.4449 0.1362 1
Cr5 Cr 0.4640 0.2380 0.4775 1
Cr6 Cr 0.6601 0.6724 0.4331 1
Cr7 Cr 0.7059 0.4704 0.7761 1
Cr8 Cr 0.8547 0.7387 0.9768 1
P1 P 0.1569 0.2095 0.7048 1
P2 P 0.2959 0.5110 0.9163 1
P3 P 0.3101 0.0107 0.4173 1
P4 P 0.3782 0.5800 0.3516 1
P5 P 0.3969 0.8325 0.0630 1
P6 P 0.7241 0.0812 0.8512 1
P7 P 0.7437 0.3315 0.5621 1
P8 P 0.8143 0.9013 0.4967 1
P9 P 0.8221 0.4019 0.9960 1
P10 P 0.9623 0.7097 0.2046 1
O1 O 0.1204 0.6708 0.9442 1
O2 O 0.1425 0.0590 0.6826 1
O3 O 0.1487 0.5582 0.1813 1
O4 O 0.1544 0.7651 0.6891 1
O5 O 0.2127 0.0601 0.3281 1
O6 O 0.2218 0.7494 0.3496 1
O7 O 0.2229 0.9188 0.5087 1
O8 O 0.2498 0.3930 0.8727 1
O9 O 0.2530 0.1472 0.7950 1
O10 O 0.2760 0.2777 0.6147 1
O11 O 0.2775 0.9476 0.9847 1
O12 O 0.2788 0.1986 0.0426 1
O13 O 0.2982 0.1702 0.4453 1
O14 O 0.2977 0.4688 0.4351 1
O15 O 0.3112 0.9056 0.1696 1
O16 O 0.3842 0.4203 0.0076 1
O17 O 0.4058 0.6635 0.0661 1
O18 O 0.4259 0.2650 0.1876 1
O19 O 0.4331 0.5592 0.8263 1
O20 O 0.4650 0.5047 0.2463 1
O21 O 0.5134 0.6974 0.5426 1
O22 O 0.5174 0.8930 0.3730 1
O23 O 0.5325 0.0734 0.8703 1
O24 O 0.5585 0.5724 0.3704 1
O25 O 0.5679 0.3383 0.5395 1
O26 O 0.5890 0.8385 0.0388 1
O27 O 0.6060 0.0183 0.5383 1
O28 O 0.6074 0.2182 0.3673 1
O29 O 0.6517 0.4042 0.6690 1
O30 O 0.6843 0.3549 0.0858 1
O31 O 0.6909 0.6495 0.7239 1
O32 O 0.7133 0.2504 0.8495 1
O33 O 0.7396 0.4926 0.9030 1
O34 O 0.8165 0.0062 0.7457 1
O35 O 0.8253 0.4472 0.4840 1
O36 O 0.8304 0.7366 0.4713 1
O37 O 0.8329 0.9695 0.9343 1
O38 O 0.8381 0.6477 0.2945 1
O39 O 0.8390 0.7206 0.8667 1
O40 O 0.8650 0.7798 0.1144 1
O41 O 0.8739 0.5184 0.0370 1
O42 O 0.8993 0.9918 0.4035 1
O43 O 0.8999 0.1622 0.5645 1
O44 O 0.9121 0.8517 0.5856 1
O45 O 0.9664 0.3585 0.7246 1
O46 O 0.9707 0.1473 0.2234 1
O47 O 0.9865 0.8567 0.2251 1
O48 O 0.9951 0.2364 0.9711 1
```



DFT (PBE+U) results for a relaxed Li2CrP2O8 crystal.

Density   2.9 Mg/m³
Formation enthalpy at 0 K   -2.501 eV per atom
ΔE to the lowest computed polymorph   0.35 eV/f.u.

```
data_Li2CrP2O8
_chemical_formula_sum 'Li8 Cr4 P8 O32'
_cell_length_a 7.4662
_cell_length_b 12.4550
_cell_length_c 6.2532
_cell_angle_alpha 90.00
_cell_angle_beta 97.85
_cell_angle_gamma 90.00
_symmetry_space_group_name_H-M 'P 1 21/c 1'
_symmetry_Int_Tables_number 14
loop_
_symmetry_equiv_pos_as_xyz
'x,y,z'
'-x,-y,-z'
'-x,y+1/2,-z+1/2'
'x,-y+1/2,z+1/2'
loop_
_atom_site_label
_atom_site_type_symbol
_atom_site_fract_x
_atom_site_fract_y
_atom_site_fract_z
_atom_site_occupancy
Li1 Li 0.0429 0.1237 0.4465 1
Li2 Li 0.4422 0.2247 0.3661 1
Cr1 Cr 0.2711 0.5764 0.7444 1
P1 P 0.1370 0.1422 0.9619 1
P2 P 0.3300 0.5295 0.2598 1
O1 O 0.0341 0.6465 0.7076 1
O2 O 0.1203 0.0711 0.1578 1
O3 O 0.2027 0.5464 0.0459 1
O4 O 0.2128 0.2463 0.5112 1
O5 O 0.2842 0.6063 0.4334 1
O6 O 0.2933 0.0903 0.8343 1
O7 O 0.4102 0.6833 0.8294 1
O8 O 0.4704 0.0347 0.2725 1
```



DFT (PBE+U) results for a relaxed LiCrP2O7 crystal.

Density   3.1 Mg/m³
Formation enthalpy at 0 K   -2.634 eV per atom
ΔE to the lowest computed polymorph   0.45 eV/f.u.

```
data_LiCrP2O7
_chemical_formula_sum 'Li4 Cr4 P8 O28'
_cell_length_a 6.6800
_cell_length_b 8.3341
_cell_length_c 9.1451
_cell_angle_alpha 90.00
_cell_angle_beta 104.56
_cell_angle_gamma 90.00
_symmetry_space_group_name_H-M 'P 1 21/m 1'
_symmetry_Int_Tables_number 11
loop_
_symmetry_equiv_pos_as_xyz
'x,y,z'
'-x,-y,-z'
'-x,y+1/2,-z'
'x,-y+1/2,z'
loop_
_atom_site_label
_atom_site_type_symbol
_atom_site_fract_x
_atom_site_fract_y
_atom_site_fract_z
_atom_site_occupancy
Li1 Li 0.2393 0.0778 0.2517 1
Cr1 Cr 0.2505 0.0662 0.7500 1
P1 P 0.0008 0.2500 0.9447 1
P2 P 0.0782 0.7500 0.5320 1
P3 P 0.4202 0.7500 0.9697 1
P4 P 0.4970 0.2500 0.5534 1
O1 O 0.0178 0.0948 0.8539 1
O2 O 0.0756 0.5984 0.6233 1
O3 O 0.1134 0.2500 0.6095 1
O4 O 0.1297 0.2500 0.1055 1
O5 O 0.2408 0.7500 0.0545 1
O6 O 0.2632 0.7500 0.4532 1
O7 O 0.3636 0.2500 0.3940 1
O8 O 0.3851 0.2500 0.8909 1
O9 O 0.4195 0.5988 0.8782 1
O10 O 0.4827 0.0949 0.6451 1
```



DFT (PBE+U) results for a relaxed LiCr4P3O12 crystal.

Density   3.7 Mg/m³
Formation enthalpy at 0 K   -2.412 eV per atom
ΔE to the lowest computed polymorph   1.74 eV/f.u.

```
data_LiCr4P3O12
_chemical_formula_sum 'Li4 Cr16 P12 O48'
_cell_length_a 6.8654
_cell_length_b 6.8654
_cell_length_c 19.1324
_cell_angle_alpha 90.00
_cell_angle_beta 90.00
_cell_angle_gamma 90.00
_symmetry_space_group_name_H-M 'I -4 2 d'
_symmetry_Int_Tables_number 122
_symmetry_space_group_name_Hall 'I -4 2bw'
loop_
_atom_site_label
_atom_site_type_symbol
_atom_site_fract_x
_atom_site_fract_y
_atom_site_fract_z
_atom_site_occupancy
Li1 Li 0.0000 0.0000 0.0000 1
Cr1 Cr 0.0000 0.0000 0.2753 1
Cr2 Cr 0.2474 0.2500 0.6250 1
P1 P 0.0000 0.0000 0.5000 1
P2 P 0.1441 0.7500 0.1250 1
O1 O 0.0016 0.2173 0.1886 1
O2 O 0.0511 0.1894 0.5418 1
O3 O 0.0699 0.2369 0.3550 1
```



DFT (PBE+U) results for a relaxed LiCrPO5 crystal.

Density   3.1 Mg/m³
Formation enthalpy at 0 K   -2.398 eV per atom
ΔE to the lowest computed polymorph   0.43 eV/f.u.

```
data_LiCrPO5
_chemical_formula_sum 'Li4 Cr4 P4 O20'
_cell_length_a 5.3228
_cell_length_b 9.5810
_cell_length_c 7.4443
_cell_angle_alpha 90.00
_cell_angle_beta 109.16
_cell_angle_gamma 90.00
_symmetry_space_group_name_H-M 'P 1 21/c 1'
_symmetry_Int_Tables_number 14
loop_
_symmetry_equiv_pos_as_xyz
'x,y,z'
'-x,-y,-z'
'-x,y+1/2,-z+1/2'
'x,-y+1/2,z+1/2'
loop_
_atom_site_label
_atom_site_type_symbol
_atom_site_fract_x
_atom_site_fract_y
_atom_site_fract_z
_atom_site_occupancy
Li1 Li 0.0524 0.0952 0.2043 1
Cr1 Cr 0.4980 0.5839 0.6558 1
P1 P 0.3429 0.6516 0.0439 1
O1 O 0.1809 0.7112 0.5050 1
O2 O 0.2433 0.5465 0.1672 1
O3 O 0.2964 0.0488 0.0124 1
O4 O 0.3221 0.5804 0.8544 1
O5 O 0.3773 0.2135 0.3396 1
```



Values for total magnetic moment, μB/f.u., ordered as above
4.000, 3.000, 3.000, 4.002, 2.000, 3.001, 16.000, 2.000
Values for total energy, eV per atom, ordered as above
-7.140, -7.137, -6.778, -6.868, -6.838, -7.199, -7.407, -6.933
Values for total energy after the MP2020 corrections, eV per atom, ordered as above
-7.819, -7.756, -7.314, -7.548, -7.415, -7.818, -8.219, -7.612